i | ## Cd2SO6 (PBE)

Data for Cd2SO6 after structural relaxation.

```
data_Cd2SO6
_cell_length_a 11.5715
_cell_length_b 7.9779
_cell_length_c 6.7217
_cell_angle_alpha 90.00
_cell_angle_beta 119.19
_cell_angle_gamma 90.00
_symmetry_space_group_name_H-M 'C 1 2/c 1'
_symmetry_Int_Tables_number 15
loop_
_symmetry_equiv_pos_as_xyz
'x,y,z'
'-x,-y,-z'
'-x,y,-z+1/2'
'x,-y,z+1/2'
'x+1/2,y+1/2,z'
'-x+1/2,-y+1/2,-z'
'-x+1/2,y+1/2,-z+1/2'
'x+1/2,-y+1/2,z+1/2'
loop_
_atom_site_label
_atom_site_fract_x
_atom_site_fract_y
_atom_site_fract_z
Cd1 0.2463 0.0930 0.1877
S1 0.0000 0.3095 0.2500
O1 0.0403 0.2063 0.1107
O2 0.1134 0.4197 0.4078
O3 0.1941 0.1391 0.8158
```


ii | ## Cd2SO6 (PBE)

Data for Cd2SO6 after structural relaxation.

```
data_Cd2SO6
_cell_length_a 10.1282
_cell_length_b 4.7970
_cell_length_c 14.4448
_cell_angle_alpha 90.00
_cell_angle_beta 134.03
_cell_angle_gamma 90.00
_symmetry_space_group_name_H-M 'P 1 c 1'
_symmetry_Int_Tables_number 7
loop_
_symmetry_equiv_pos_as_xyz
'x,y,z'
'x,-y,z+1/2'
loop_
_atom_site_label
_atom_site_fract_x
_atom_site_fract_y
_atom_site_fract_z
Cd1 0.0000 0.0186 0.0000
Cd2 0.3682 0.0256 0.4943
Cd3 0.5105 0.0219 0.8102
Cd4 0.8685 0.0559 0.6826
S1 0.1978 0.4956 0.2526
S2 0.6749 0.4467 0.2354
O1 0.0335 0.3256 0.6524
O2 0.0747 0.1349 0.8912
O3 0.1568 0.3149 0.3137
O4 0.2368 0.3203 0.1884
O5 0.2874 0.1438 0.6025
O6 0.3600 0.3246 0.8522
O7 0.4800 0.3546 0.1303
O8 0.5813 0.1393 0.4917
O9 0.6770 0.2433 0.7496
O10 0.7539 0.3107 0.3583
O11 0.7848 0.3805 0.2052
O12 0.7915 0.1395 0.0046
```


iii | ## Cd2SO6 (PBE)

Data for Cd2SO6 after structural relaxation.

```
data_Cd2SO6
_cell_length_a 7.0175
_cell_length_b 7.4004
_cell_length_c 11.8177
_cell_angle_alpha 90.00
_cell_angle_beta 119.79
_cell_angle_gamma 90.00
_symmetry_space_group_name_H-M 'P 1 21/c 1'
_symmetry_Int_Tables_number 14
loop_
_symmetry_equiv_pos_as_xyz
'x,y,z'
'-x,-y,-z'
'-x,y+1/2,-z+1/2'
'x,-y+1/2,z+1/2'
loop_
_atom_site_label
_atom_site_fract_x
_atom_site_fract_y
_atom_site_fract_z
Cd1 0.1548 0.0278 0.1761
Cd2 0.3169 0.1651 0.5042
S1 0.3068 0.0031 0.7797
O1 0.0347 0.1722 0.9820
O2 0.1633 0.6075 0.3122
O3 0.2373 0.5164 0.1396
O4 0.2939 0.1986 0.8101
O5 0.3358 0.5629 0.8812
O6 0.4608 0.0602 0.1373
```


It is iii that is the most stable of them.


i | ## Cd3S3O20 (PBE)

Data for Cd3S3O20 after structural relaxation.

```
data_Cd3S3O20
_cell_length_a 9.7045
_cell_length_b 10.0082
_cell_length_c 10.0087
_cell_angle_alpha 85.21
_cell_angle_beta 85.27
_cell_angle_gamma 85.23
_symmetry_space_group_name_H-M 'P 1'
_symmetry_Int_Tables_number 1
loop_
_symmetry_equiv_pos_as_xyz
'x,y,z'
loop_
_atom_site_label
_atom_site_fract_x
_atom_site_fract_y
_atom_site_fract_z
Cd1 0.0000 0.0000 0.0000
Cd2 0.9998 0.4914 0.9980
Cd3 0.2525 0.2479 0.4995
Cd4 0.5000 0.7483 0.2545
Cd5 0.5008 0.7473 0.7467
Cd6 0.7502 0.2460 0.5011
S1 0.0271 0.2396 0.2503
S2 0.2501 0.7323 0.0137
S3 0.4739 0.4969 0.5070
S4 0.5264 0.9963 0.4991
S5 0.7500 0.7597 0.9871
S6 0.9770 0.2456 0.7507
O1 0.0299 0.1081 0.8018
O2 0.0369 0.8707 0.6222
O3 0.0448 0.1402 0.1472
O4 0.0770 0.2964 0.6408
O5 0.1319 0.5773 0.6999
O6 0.1339 0.9262 0.5597
O7 0.1382 0.6396 0.0477
O8 0.1645 0.2496 0.3024
O9 0.1936 0.8736 0.0284
O10 0.1966 0.4956 0.7747
O11 0.2978 0.9652 0.2575
O12 0.3076 0.7170 0.8729
O13 0.3356 0.4480 0.4932
O14 0.3576 0.0433 0.1751
O15 0.3610 0.6974 0.1076
O16 0.3682 0.1824 0.8193
O17 0.4291 0.1088 0.4482
O18 0.4564 0.5983 0.6080
O19 0.4690 0.9430 0.6342
O20 0.4799 0.1391 0.8625
O21 0.5144 0.3600 0.1453
O22 0.5312 0.5566 0.3748
O23 0.5435 0.8883 0.4049
O24 0.5710 0.3818 0.5525
O25 0.6300 0.3222 0.1829
O26 0.6368 0.7958 0.8964
O27 0.6456 0.4380 0.8355
O28 0.6645 0.0466 0.5099
O29 0.6951 0.7736 0.1291
O30 0.6996 0.5202 0.7533
O31 0.8061 0.6185 0.9704
O32 0.8065 0.9882 0.2280
O33 0.8391 0.2404 0.6983
O34 0.8602 0.9069 0.3111
O35 0.8614 0.8522 0.9513
O36 0.8683 0.5590 0.4267
O37 0.9266 0.1944 0.3624
O38 0.9614 0.3366 0.8615
O39 0.9737 0.3737 0.1914
O40 0.9853 0.5952 0.3927
```


ii | ## Cd3S3O20 (PBE)

Data for Cd3S3O20 after structural relaxation.

```
data_Cd3S3O20
_cell_length_a 14.7453
_cell_length_b 13.2884
_cell_length_c 9.7619
_cell_angle_alpha 90.00
_cell_angle_beta 95.22
_cell_angle_gamma 90.00
_symmetry_space_group_name_H-M 'C 1 2/c 1'
_symmetry_Int_Tables_number 15
loop_
_symmetry_equiv_pos_as_xyz
'x,y,z'
'-x,-y,-z'
'-x,y,-z+1/2'
'x,-y,z+1/2'
'x+1/2,y+1/2,z'
'-x+1/2,-y+1/2,-z'
'-x+1/2,y+1/2,-z+1/2'
'x+1/2,-y+1/2,z+1/2'
loop_
_atom_site_label
_atom_site_fract_x
_atom_site_fract_y
_atom_site_fract_z
Cd1 0.0000 0.0139 0.2500
Cd2 0.1283 0.3791 0.4985
S1 0.0000 0.4900 0.7500
S2 0.1270 0.1209 0.5318
O1 0.0250 0.4252 0.6350
O2 0.0791 0.4454 0.2980
O3 0.0896 0.2198 0.4821
O4 0.0949 0.0418 0.4297
O5 0.0950 0.0964 0.6674
O6 0.1155 0.2371 0.0212
O7 0.1174 0.1928 0.1321
O8 0.2280 0.1242 0.5476
O9 0.2318 0.4365 0.1336
O10 0.2423 0.4877 0.7057
```


iii | ## Cd3S3O20 (PBE)

Data for Cd3S3O20 after structural relaxation.

```
data_Cd3S3O20
_cell_length_a 9.6677
_cell_length_b 9.7275
_cell_length_c 9.7595
_cell_angle_alpha 84.58
_cell_angle_beta 85.16
_cell_angle_gamma 80.13
_symmetry_space_group_name_H-M 'P 1'
_symmetry_Int_Tables_number 1
loop_
_symmetry_equiv_pos_as_xyz
'x,y,z'
loop_
_atom_site_label
_atom_site_fract_x
_atom_site_fract_y
_atom_site_fract_z
Cd1 0.0000 0.0000 0.0000
Cd2 0.0362 0.9710 0.5038
Cd3 0.2722 0.4653 0.7593
Cd4 0.5045 0.2464 0.2435
Cd5 0.5410 0.7317 0.2445
Cd6 0.7587 0.4946 0.7652
S1 0.0035 0.7367 0.7940
S2 0.0205 0.2313 0.7150
S3 0.2677 0.0004 0.2097
S4 0.5014 0.5025 0.0031
S5 0.5230 0.4810 0.5028
S6 0.7697 0.9861 0.2876
O1 0.0121 0.1818 0.5775
O2 0.0141 0.7903 0.9292
O3 0.0838 0.1129 0.8113
O4 0.0936 0.6768 0.3823
O5 0.1057 0.3460 0.6981
O6 0.1288 0.6419 0.2642
O7 0.1443 0.6676 0.7426
O8 0.1552 0.0438 0.3183
O9 0.2076 0.9934 0.0765
O10 0.2138 0.3276 0.3921
O11 0.2498 0.2818 0.9625
O12 0.2860 0.2350 0.4627
O13 0.3321 0.9075 0.6246
O14 0.3387 0.2175 0.8821
O15 0.3391 0.8591 0.2568
O16 0.3668 0.1029 0.1864
O17 0.3695 0.8684 0.7414
O18 0.3752 0.4752 0.5562
O19 0.4206 0.5561 0.8806
O20 0.4490 0.5808 0.1253
O21 0.4907 0.3513 0.0352
O22 0.5322 0.6271 0.4478
O23 0.5606 0.3828 0.3932
O24 0.6212 0.4415 0.6140
O25 0.6520 0.9047 0.3061
O26 0.6527 0.5159 0.9703
O27 0.6577 0.1043 0.7696
O28 0.6816 0.7963 0.6007
O29 0.7046 0.0610 0.8818
O30 0.7185 0.1332 0.2329
O31 0.7310 0.7409 0.0477
O32 0.7739 0.7209 0.5346
O33 0.7901 0.6591 0.1387
O34 0.8274 0.9877 0.4227
O35 0.8755 0.2827 0.7746
O36 0.8820 0.9232 0.1864
O37 0.8843 0.3739 0.2103
O38 0.9013 0.6377 0.8150
O39 0.9474 0.2983 0.1232
O40 0.9569 0.8537 0.6899
```


It is i that is the most stable of them.


i | ## CdSe2O9 (PBE)

Data for CdSe2O9 after structural relaxation.

```
data_CdSe2O9
_cell_length_a 9.0173
_cell_length_b 5.2864
_cell_length_c 16.8127
_cell_angle_alpha 90.00
_cell_angle_beta 110.15
_cell_angle_gamma 90.00
_symmetry_space_group_name_H-M 'P 1 21/c 1'
_symmetry_Int_Tables_number 14
loop_
_symmetry_equiv_pos_as_xyz
'x,y,z'
'-x,-y,-z'
'-x,y+1/2,-z+1/2'
'x,-y+1/2,z+1/2'
loop_
_atom_site_label
_atom_site_fract_x
_atom_site_fract_y
_atom_site_fract_z
Cd1 0.2400 0.2421 0.4787
Se1 0.0130 0.2336 0.1262
Se2 0.4600 0.7404 0.6121
O1 0.0106 0.0442 0.3900
O2 0.1045 0.0936 0.0641
O3 0.1351 0.1856 0.2273
O4 0.1609 0.5893 0.3937
O5 0.2672 0.6568 0.7517
O6 0.2911 0.6106 0.0613
O7 0.3843 0.1031 0.3964
O8 0.4566 0.0594 0.0797
O9 0.4823 0.7351 0.7180
```


ii | ## CdSe2O9 (PBE)

Data for CdSe2O9 after structural relaxation.

```
data_CdSe2O9
_cell_length_a 8.3304
_cell_length_b 5.4229
_cell_length_c 21.1710
_cell_angle_alpha 90.00
_cell_angle_beta 107.37
_cell_angle_gamma 90.00
_symmetry_space_group_name_H-M 'P 1 21/c 1'
_symmetry_Int_Tables_number 14
loop_
_symmetry_equiv_pos_as_xyz
'x,y,z'
'-x,-y,-z'
'-x,y+1/2,-z+1/2'
'x,-y+1/2,z+1/2'
loop_
_atom_site_label
_atom_site_fract_x
_atom_site_fract_y
_atom_site_fract_z
Cd1 0.2447 0.2300 0.4891
Se1 0.0163 0.2112 0.1135
Se2 0.3740 0.7045 0.8804
O1 0.0360 0.0759 0.9130
O2 0.0910 0.1393 0.5597
O3 0.1822 0.2192 0.2882
O4 0.2176 0.6227 0.9201
O5 0.2933 0.2060 0.7576
O6 0.3944 0.5656 0.5415
O7 0.4407 0.0511 0.9270
O8 0.4518 0.2472 0.2882
O9 0.4574 0.0620 0.5737
```


It is i that is the most stable of them.